1.
Below is a geometry-optimized FeCo2N2 structure, with properties calculated at the GGA-PBE level.

## Properties
The value obtained for the energy above the most stable polymorph in this dataset is 0.16 eV/f.u. The space-group type is I4/mmm (139). The value obtained for the formation energy is 0.097 eV per atom.

abc: 6.154 6.154 6.154
angles: 153.83 153.83 37.34
Fractional positions:
Fe (0.000, 0.000, 0.000)
Co (0.337, 0.337, 0.000)
Co (0.663, 0.663, 0.000)
N (0.160, 0.160, 0.000)
N (0.840, 0.840, 0.000)

=====

2.
Below is a geometry-optimized LuPb3 structure, with properties calculated at the GGA-PBE level.

## Properties
The space-group type is Pm-3m (221). The value obtained for the formation energy is -0.177 eV per atom.

abc: 4.872 4.872 4.872
angles: 90.00 90.00 90.00
Fractional positions:
Lu (0.000, 0.000, 0.000)
Pb (0.000, 0.500, 0.500)
Pb (0.500, 0.000, 0.500)
Pb (0.500, 0.500, 0.000)

=====

3.
Below is a geometry-optimized NaEuTi2O6 structure, with properties calculated at the GGA-PBE level.

## Properties
The space-group type is Pmn2_1 (31). The value obtained for the formation energy is -3.231 eV per atom.

abc: 7.746 5.505 5.438
angles: 90.00 90.00 90.00
Fractional positions:
Na (0.000, 0.223, 0.000)
Na (0.500, 0.777, 0.500)
Eu (0.000, 0.710, 0.510)
Eu (0.500, 0.290, 0.010)
Ti (0.249, 0.243, 0.508)
Ti (0.251, 0.757, 0.008)
Ti (0.749, 0.757, 0.008)
Ti (0.751, 0.243, 0.508)
O (0.000, 0.266, 0.446)
O (0.000, 0.765, 0.076)
O (0.212, 0.958, 0.711)
O (0.220, 0.466, 0.786)
O (0.280, 0.534, 0.286)
O (0.288, 0.042, 0.211)
O (0.500, 0.235, 0.576)
O (0.500, 0.734, 0.946)
O (0.712, 0.042, 0.211)
O (0.720, 0.534, 0.286)
O (0.780, 0.466, 0.786)
O (0.788, 0.958, 0.711)